Record 1
Entry from the Materials Project database: a relaxed YFe12 crystal (PBE).

Results
The energy relative to the elements comes out at 0.00 eV/atom.

a b c (Å): 8.468 8.468 4.695
angles (deg): 90.00 90.00 90.00
Space group I4/mmm (No. 139)
Asymmetric unit:
Y 0.000 0.000 0.000 (multiplicity 2)
Fe 0.000 0.227 0.500 (multiplicity 8)
Fe 0.000 0.358 0.000 (multiplicity 8)
Fe 0.250 0.250 0.250 (multiplicity 8)

***

Record 2
Entry from the Materials Project database: a relaxed TmIn7Cu5 crystal (PBE).

Results
The energy relative to the elements comes out at -0.05 eV/atom.

a b c (Å): 5.621 9.452 9.433
angles (deg): 90.00 90.00 90.00
Space group Imm2 (No. 44)
Asymmetric unit:
Tm 0.000 0.000 0.000 (multiplicity 2)
In 0.000 0.000 0.332 (multiplicity 2)
In 0.000 0.000 0.657 (multiplicity 2)
In 0.000 0.302 0.510 (multiplicity 4)
In 0.000 0.339 0.987 (multiplicity 4)
In 0.000 0.500 0.272 (multiplicity 2)
Cu 0.000 0.500 0.725 (multiplicity 2)
Cu 0.247 0.245 0.250 (multiplicity 8)

***

Record 3
Entry from the Materials Project database: a relaxed ErTe3 crystal (PBE).

Results
The energy relative to the elements comes out at -0.85 eV/atom.

a b c (Å): 4.099 28.716 4.416
angles (deg): 90.00 90.00 90.00
Space group Cmcm (No. 63)
Asymmetric unit:
Er 0.000 0.054 0.250 (multiplicity 4)
Te 0.000 0.164 0.250 (multiplicity 4)
Te 0.000 0.313 0.250 (multiplicity 4)
Te 0.000 0.446 0.250 (multiplicity 4)

***

Record 4
Entry from the Materials Project database: a relaxed DyGePd crystal (PBE).

Results
The energy relative to the elements comes out at -0.99 eV/atom.

a b c (Å): 4.414 13.973 7.636
angles (deg): 90.00 90.00 90.00
Space group Pmmn (No. 59, origin choice 2)
Asymmetric unit:
Dy 0.250 0.001 0.214 (multiplicity 4)
Dy 0.250 0.250 0.296 (multiplicity 2)
Dy 0.250 0.750 0.289 (multiplicity 2)
Ge 0.250 0.107 0.591 (multiplicity 4)
Ge 0.250 0.652 0.910 (multiplicity 4)
Pd 0.250 0.141 0.923 (multiplicity 4)
Pd 0.250 0.596 0.581 (multiplicity 4)

***

Record 5
Entry from the Materials Project database: a relaxed Cr2B2Ir crystal (PBE).

Results
Its excess energy over the best structure of this formula in the dataset is 2 kJ/mol of formula units. The energy relative to the elements comes out at -0.38 eV/atom.

a b c (Å): 2.890 10.094 13.463
angles (deg): 90.00 90.00 90.00
Space group Cmcm (No. 63)
Asymmetric unit:
Cr 0.000 0.002 0.250 (multiplicity 4)
Cr 0.000 0.175 0.558 (multiplicity 8)
Cr 0.000 0.269 0.750 (multiplicity 4)
B 0.000 0.202 0.130 (multiplicity 8)
B 0.000 0.365 0.182 (multiplicity 8)
Ir 0.000 0.444 0.589 (multiplicity 8)

***

Record 6
Entry from the Materials Project database: a relaxed U2Cr30P19 crystal (PBE).

Results
The energy relative to the elements comes out at -0.47 eV/atom.

a b c (Å): 14.5659 14.5659 3.4406
angles (deg): 90.00 90.00 120.00
Space group P-6 (No. 174)
Asymmetric unit:
U 0.0000 0.0000 0.0000 (multiplicity 1)
U 0.3333 0.6667 0.5000 (multiplicity 1)
Cr 0.0186 0.1751 0.5000 (multiplicity 3)
Cr 0.0582 0.5238 0.5000 (multiplicity 3)
Cr 0.0822 0.8131 0.0000 (multiplicity 3)
Cr 0.1433 0.3977 0.5000 (multiplicity 3)
Cr 0.1774 0.6867 0.0000 (multiplicity 3)
Cr 0.2760 0.1465 0.0000 (multiplicity 3)
Cr 0.3807 0.0710 0.5000 (multiplicity 3)
Cr 0.4002 0.3552 0.0000 (multiplicity 3)
Cr 0.5240 0.2482 0.0000 (multiplicity 3)
Cr 0.5562 0.4036 0.5000 (multiplicity 3)
P 0.0284 0.2841 0.0000 (multiplicity 3)
P 0.0798 0.6996 0.5000 (multiplicity 3)
P 0.1625 0.1455 0.5000 (multiplicity 3)
P 0.1706 0.5219 0.0000 (multiplicity 3)
P 0.3988 0.2404 0.5000 (multiplicity 3)
P 0.4853 0.0621 0.0000 (multiplicity 3)
P 0.6667 0.3333 0.5000 (multiplicity 1)

***

Record 7
Entry from the Materials Project database: a relaxed LaTiO3 crystal (PBE).

Results
The energy relative to the elements comes out at -3.60 eV/atom.

a b c (Å): 3.959 3.959 3.959
angles (deg): 90.00 90.00 90.00
Space group Pm-3m (No. 221)
Asymmetric unit:
La 0.000 0.000 0.000 (multiplicity 1)
Ti 0.500 0.500 0.500 (multiplicity 1)
O 0.000 0.500 0.500 (multiplicity 3)

***

Record 8
Entry from the Materials Project database: a relaxed LiCuPO4 crystal (PBE).

Results
Its excess energy over the best structure of this formula in the dataset is 38 kJ/mol of formula units. The energy relative to the elements comes out at -2.14 eV/atom.

a b c (Å): 7.748 8.530 4.885
angles (deg): 90.00 90.00 90.00
Space group Pna2_1 (No. 33)
Asymmetric unit:
Li 0.012 0.194 0.000 (multiplicity 4)
Cu 0.158 0.546 0.023 (multiplicity 4)
P 0.243 0.925 0.055 (multiplicity 4)
O 0.068 0.408 0.690 (multiplicity 4)
O 0.139 0.953 0.324 (multiplicity 4)
O 0.190 0.786 0.881 (multiplicity 4)
O 0.235 0.080 0.887 (multiplicity 4)

***

Record 9
Entry from the Materials Project database: a relaxed K2NbCuSe2 crystal (PBE).

Results
The energy relative to the elements comes out at -0.27 eV/atom.

a b c (Å): 5.896 12.511 35.828
angles (deg): 90.00 90.00 90.00
Space group Fddd (No. 70, origin choice 2)
Asymmetric unit:
K 0.095 0.252 0.339 (multiplicity 32)
Nb 0.000 0.000 0.500 (multiplicity 16)
Cu 0.000 0.000 0.000 (multiplicity 16)
Se 0.092 0.261 0.817 (multiplicity 32)

***

Record 10
Entry from the Materials Project database: a relaxed Rb3Na crystal (PBE).

Results
The energy relative to the elements comes out at 0.04 eV/atom.

a b c (Å): 6.671 6.671 6.671
angles (deg): 90.00 90.00 90.00
Space group Pm-3m (No. 221)
Asymmetric unit:
Rb 0.000 0.000 0.500 (multiplicity 3)
Na 0.500 0.500 0.500 (multiplicity 1)

***

Record 11
Entry from the Materials Project database: a relaxed SmCo3NiB crystal (PBE).

Results
The energy relative to the elements comes out at -0.29 eV/atom.

a b c (Å): 5.0237 5.0237 6.8732
angles (deg): 90.00 90.00 120.00
Space group P6/mmm (No. 191)
Asymmetric unit:
Sm 0.0000 0.0000 0.0000 (multiplicity 1)
Sm 0.0000 0.0000 0.5000 (multiplicity 1)
Co 0.0000 0.5000 0.2107 (multiplicity 6)
Ni 0.3333 0.6667 0.5000 (multiplicity 2)
B 0.3333 0.6667 0.0000 (multiplicity 2)

***

Record 12
Entry from the Materials Project database: a relaxed Ti5O8 crystal (PBE).

Results
The energy relative to the elements comes out at -3.34 eV/atom.

a b c (Å): 5.524 9.075 9.083
angles (deg): 68.12 84.79 84.73
Space group P1 (No. 1)
Asymmetric unit:
Ti 0.000 0.000 0.000 (multiplicity 1)
Ti 0.000 0.250 0.253 (multiplicity 1)
Ti 0.001 0.751 0.750 (multiplicity 1)
Ti 0.115 0.151 0.654 (multiplicity 1)
Ti 0.116 0.403 0.905 (multiplicity 1)
Ti 0.125 0.663 0.157 (multiplicity 1)
Ti 0.131 0.897 0.396 (multiplicity 1)
Ti 0.502 0.499 0.001 (multiplicity 1)
Ti 0.503 0.247 0.749 (multiplicity 1)
Ti 0.504 0.000 0.501 (multiplicity 1)
Ti 0.608 0.419 0.397 (multiplicity 1)
Ti 0.610 0.148 0.159 (multiplicity 1)
Ti 0.612 0.893 0.919 (multiplicity 1)
Ti 0.617 0.652 0.647 (multiplicity 1)
Ti 0.998 0.499 0.500 (multiplicity 1)
O 0.133 0.699 0.361 (multiplicity 1)
O 0.150 0.106 0.454 (multiplicity 1)
O 0.153 0.202 0.857 (multiplicity 1)
O 0.158 0.609 0.953 (multiplicity 1)
O 0.299 0.861 0.035 (multiplicity 1)
O 0.306 0.294 0.107 (multiplicity 1)
O 0.309 0.355 0.547 (multiplicity 1)
O 0.309 0.794 0.608 (multiplicity 1)
O 0.451 0.967 0.297 (multiplicity 1)
O 0.459 0.534 0.199 (multiplicity 1)
O 0.465 0.041 0.706 (multiplicity 1)
O 0.465 0.450 0.797 (multiplicity 1)
O 0.647 0.592 0.468 (multiplicity 1)
O 0.649 0.107 0.955 (multiplicity 1)
O 0.651 0.204 0.360 (multiplicity 1)
O 0.654 0.700 0.858 (multiplicity 1)
O 0.809 0.292 0.607 (multiplicity 1)
O 0.809 0.358 0.047 (multiplicity 1)
O 0.810 0.858 0.544 (multiplicity 1)
O 0.834 0.793 0.094 (multiplicity 1)
O 0.957 0.954 0.794 (multiplicity 1)
O 0.962 0.047 0.202 (multiplicity 1)
O 0.965 0.546 0.702 (multiplicity 1)
O 0.967 0.455 0.295 (multiplicity 1)

***

Record 13
Entry from the Materials Project database: a relaxed CsNa7Ta8O24 crystal (PBE).

Results
The energy relative to the elements comes out at -3.02 eV/atom.

a b c (Å): 8.003 8.003 8.003
angles (deg): 90.00 90.00 90.00
Space group Pm-3m (No. 221)
Asymmetric unit:
Cs 0.000 0.000 0.000 (multiplicity 1)
Na 0.000 0.000 0.500 (multiplicity 3)
Na 0.000 0.500 0.500 (multiplicity 3)
Na 0.500 0.500 0.500 (multiplicity 1)
Ta 0.252 0.252 0.252 (multiplicity 8)
O 0.000 0.257 0.257 (multiplicity 12)
O 0.252 0.252 0.500 (multiplicity 12)

***

Record 14
Entry from the Materials Project database: a relaxed LiZnSO4F crystal (PBE).

Results
The energy relative to the elements comes out at -2.20 eV/atom.

a b c (Å): 7.565 6.375 7.579
angles (deg): 90.00 90.00 90.00
Space group Pnma (No. 62)
Asymmetric unit:
Li 0.000 0.000 0.000 (multiplicity 4)
Zn 0.142 0.250 0.294 (multiplicity 4)
S 0.132 0.750 0.359 (multiplicity 4)
O 0.030 0.250 0.534 (multiplicity 4)
O 0.132 0.563 0.239 (multiplicity 8)
O 0.207 0.250 0.970 (multiplicity 4)
F 0.099 0.750 0.864 (multiplicity 4)